The following is a GGA-PBE calculation of a geometry-optimized K2NaSbI6 structure, from Materials Project.

Geometry as CIF:
```
data_K2NaSbI6
_symmetry_space_group_name_H-M 'F m -3 m'
_symmetry_Int_Tables_number 225
_symmetry_space_group_name_Hall '-F 4 2 3'
_cell_length_a 12.2952
_cell_length_b 12.2952
_cell_length_c 12.2952
_cell_angle_alpha 90.00
_cell_angle_beta 90.00
_cell_angle_gamma 90.00
loop_
_atom_site_label
_atom_site_type_symbol
_atom_site_fract_x
_atom_site_fract_y
_atom_site_fract_z
K1 K 0.2500 0.2500 0.2500
Na1 Na 0.0000 0.0000 0.0000
Sb1 Sb 0.0000 0.0000 0.5000
I1 I 0.0000 0.0000 0.2544
```

## Properties
Magnetization   0.0 μB/f.u.
ΔH_f (0 K)   -1.145 eV/atom